A geometry-optimized VPH11O9 structure. Source: Materials Project, functional PBE with a Hubbard U.

energy = -5.05 eV per atom

Unit cell a=12.574 b=12.574 c=6.487 alpha=90.00 beta=90.00 gamma=90.00
Atoms (fractional coordinates):
V: 0.048 0.330 0.000
V: 0.330 0.952 0.250
V: 0.670 0.048 0.750
V: 0.952 0.670 0.500
P: 0.073 0.413 0.498
P: 0.413 0.927 0.748
P: 0.587 0.073 0.248
P: 0.927 0.587 0.998
H: 0.057 0.084 0.510
H: 0.084 0.943 0.760
H: 0.110 0.834 0.921
H: 0.127 0.794 0.398
H: 0.143 0.784 0.919
H: 0.157 0.673 0.398
H: 0.166 0.110 0.671
H: 0.206 0.127 0.148
H: 0.210 0.450 0.883
H: 0.216 0.143 0.669
H: 0.221 0.633 0.837
H: 0.226 0.455 0.361
H: 0.272 0.639 0.895
H: 0.327 0.157 0.148
H: 0.358 0.385 0.058
H: 0.361 0.272 0.645
H: 0.367 0.221 0.587
H: 0.385 0.642 0.308
H: 0.404 0.485 0.458
H: 0.450 0.790 0.133
H: 0.455 0.774 0.611
H: 0.485 0.596 0.708
H: 0.515 0.404 0.208
H: 0.545 0.226 0.111
H: 0.550 0.210 0.633
H: 0.596 0.515 0.958
H: 0.615 0.358 0.808
H: 0.633 0.779 0.087
H: 0.639 0.728 0.145
H: 0.642 0.615 0.558
H: 0.673 0.843 0.648
H: 0.728 0.361 0.395
H: 0.774 0.545 0.861
H: 0.779 0.367 0.337
H: 0.784 0.857 0.169
H: 0.790 0.550 0.383
H: 0.794 0.873 0.648
H: 0.834 0.890 0.171
H: 0.843 0.327 0.898
H: 0.857 0.216 0.419
H: 0.873 0.206 0.898
H: 0.890 0.166 0.421
H: 0.916 0.057 0.260
H: 0.943 0.916 0.010
O: 0.016 0.520 0.499
O: 0.048 0.347 0.309
O: 0.059 0.349 0.696
O: 0.098 0.210 0.016
O: 0.109 0.724 0.462
O: 0.201 0.439 0.500
O: 0.205 0.413 0.017
O: 0.210 0.902 0.266
O: 0.276 0.109 0.212
O: 0.296 0.339 0.007
O: 0.339 0.704 0.257
O: 0.347 0.952 0.559
O: 0.349 0.941 0.946
O: 0.413 0.795 0.267
O: 0.439 0.799 0.750
O: 0.441 0.535 0.368
O: 0.465 0.441 0.118
O: 0.480 0.016 0.249
O: 0.520 0.984 0.749
O: 0.535 0.559 0.618
O: 0.559 0.465 0.868
O: 0.561 0.201 0.250
O: 0.587 0.205 0.767
O: 0.651 0.059 0.446
O: 0.653 0.048 0.059
O: 0.661 0.296 0.757
O: 0.704 0.661 0.507
O: 0.724 0.891 0.712
O: 0.790 0.098 0.766
O: 0.795 0.587 0.517
O: 0.799 0.561 0.000
O: 0.891 0.276 0.962
O: 0.902 0.790 0.516
O: 0.941 0.651 0.196
O: 0.952 0.653 0.809
O: 0.984 0.480 0.999

=====

A geometry-optimized VP2H4O9 structure. Source: Materials Project, functional PBE with a Hubbard U.

energy = -6.50 eV per atom

Unit cell a=9.169 b=9.169 c=7.887 alpha=90.00 beta=90.00 gamma=90.00
Atoms (fractional coordinates):
V: 0.250 0.250 0.204
V: 0.250 0.250 0.704
V: 0.750 0.750 0.296
V: 0.750 0.750 0.796
P: 0.046 0.546 0.250
P: 0.046 0.954 0.750
P: 0.454 0.546 0.750
P: 0.454 0.954 0.250
P: 0.546 0.046 0.750
P: 0.546 0.454 0.250
P: 0.954 0.046 0.250
P: 0.954 0.454 0.750
H: 0.084 0.715 0.052
H: 0.084 0.785 0.552
H: 0.215 0.584 0.448
H: 0.215 0.916 0.948
H: 0.285 0.584 0.948
H: 0.285 0.916 0.448
H: 0.416 0.715 0.552
H: 0.416 0.785 0.052
H: 0.584 0.215 0.948
H: 0.584 0.285 0.448
H: 0.715 0.084 0.552
H: 0.715 0.416 0.052
H: 0.785 0.084 0.052
H: 0.785 0.416 0.552
H: 0.916 0.215 0.448
H: 0.916 0.285 0.948
O: 0.079 0.116 0.743
O: 0.079 0.384 0.243
O: 0.116 0.079 0.243
O: 0.116 0.421 0.743
O: 0.118 0.620 0.413
O: 0.118 0.880 0.913
O: 0.120 0.618 0.087
O: 0.120 0.882 0.587
O: 0.250 0.250 0.494
O: 0.250 0.250 0.994
O: 0.380 0.618 0.587
O: 0.380 0.882 0.087
O: 0.382 0.620 0.913
O: 0.382 0.880 0.413
O: 0.384 0.079 0.743
O: 0.384 0.421 0.243
O: 0.421 0.116 0.243
O: 0.421 0.384 0.743
O: 0.579 0.616 0.257
O: 0.579 0.884 0.757
O: 0.616 0.579 0.757
O: 0.616 0.921 0.257
O: 0.618 0.120 0.587
O: 0.618 0.380 0.087
O: 0.620 0.118 0.913
O: 0.620 0.382 0.413
O: 0.750 0.750 0.006
O: 0.750 0.750 0.506
O: 0.880 0.118 0.413
O: 0.880 0.382 0.913
O: 0.882 0.120 0.087
O: 0.882 0.380 0.587
O: 0.884 0.579 0.257
O: 0.884 0.921 0.757
O: 0.921 0.616 0.757
O: 0.921 0.884 0.257

=====

A geometry-optimized VPH11O9 structure. Source: Materials Project, functional PBE with a Hubbard U.

energy = -5.08 eV per atom

Unit cell a=12.574 b=12.574 c=6.487 alpha=90.00 beta=90.00 gamma=90.00
Atoms (fractional coordinates):
V: 0.048 0.670 0.000
V: 0.330 0.048 0.250
V: 0.670 0.952 0.750
V: 0.952 0.330 0.500
P: 0.073 0.587 0.498
P: 0.413 0.073 0.748
P: 0.587 0.927 0.248
P: 0.927 0.413 0.998
H: 0.057 0.916 0.510
H: 0.084 0.057 0.760
H: 0.110 0.166 0.921
H: 0.127 0.206 0.398
H: 0.143 0.216 0.919
H: 0.157 0.327 0.398
H: 0.166 0.890 0.671
H: 0.206 0.873 0.148
H: 0.210 0.550 0.883
H: 0.216 0.857 0.669
H: 0.221 0.367 0.837
H: 0.226 0.545 0.361
H: 0.272 0.361 0.895
H: 0.327 0.843 0.148
H: 0.358 0.615 0.058
H: 0.361 0.728 0.645
H: 0.367 0.779 0.587
H: 0.385 0.358 0.308
H: 0.404 0.515 0.458
H: 0.450 0.210 0.133
H: 0.455 0.226 0.611
H: 0.485 0.404 0.708
H: 0.515 0.596 0.208
H: 0.545 0.774 0.111
H: 0.550 0.790 0.633
H: 0.596 0.485 0.958
H: 0.615 0.642 0.808
H: 0.633 0.221 0.087
H: 0.639 0.272 0.145
H: 0.642 0.385 0.558
H: 0.673 0.157 0.648
H: 0.728 0.639 0.395
H: 0.774 0.455 0.861
H: 0.779 0.633 0.337
H: 0.784 0.143 0.169
H: 0.790 0.450 0.383
H: 0.794 0.127 0.648
H: 0.834 0.110 0.171
H: 0.843 0.673 0.898
H: 0.857 0.784 0.419
H: 0.873 0.794 0.898
H: 0.890 0.834 0.421
H: 0.916 0.943 0.260
H: 0.943 0.084 0.010
O: 0.016 0.480 0.499
O: 0.048 0.653 0.309
O: 0.059 0.651 0.696
O: 0.098 0.790 0.016
O: 0.109 0.276 0.462
O: 0.201 0.561 0.500
O: 0.205 0.587 0.017
O: 0.210 0.098 0.266
O: 0.276 0.891 0.212
O: 0.296 0.661 0.007
O: 0.339 0.296 0.257
O: 0.347 0.048 0.559
O: 0.349 0.059 0.946
O: 0.413 0.205 0.267
O: 0.439 0.201 0.750
O: 0.441 0.465 0.368
O: 0.465 0.559 0.118
O: 0.480 0.984 0.249
O: 0.520 0.016 0.749
O: 0.535 0.441 0.618
O: 0.559 0.535 0.868
O: 0.561 0.799 0.250
O: 0.587 0.795 0.767
O: 0.651 0.941 0.446
O: 0.653 0.952 0.059
O: 0.661 0.704 0.757
O: 0.704 0.339 0.507
O: 0.724 0.109 0.712
O: 0.790 0.902 0.766
O: 0.795 0.413 0.517
O: 0.799 0.439 0.000
O: 0.891 0.724 0.962
O: 0.902 0.210 0.516
O: 0.941 0.349 0.196
O: 0.952 0.347 0.809
O: 0.984 0.520 0.999

=====

A geometry-optimized VP3H6O6 structure. Source: Materials Project, functional PBE with a Hubbard U.

energy = -5.78 eV per atom

Unit cell a=11.698 b=12.008 c=15.238 alpha=90.00 beta=129.99 gamma=90.00
Atoms (fractional coordinates):
V: 0.038 0.203 0.310
V: 0.038 0.297 0.810
V: 0.449 0.687 0.697
V: 0.449 0.813 0.197
V: 0.551 0.187 0.803
V: 0.551 0.313 0.303
V: 0.962 0.703 0.190
V: 0.962 0.797 0.690
P: 0.044 0.527 0.692
P: 0.044 0.973 0.192
P: 0.106 0.724 0.065
P: 0.106 0.776 0.565
P: 0.238 0.159 0.761
P: 0.238 0.341 0.261
P: 0.314 0.707 0.427
P: 0.314 0.793 0.927
P: 0.342 0.082 0.546
P: 0.342 0.418 0.046
P: 0.386 0.087 0.156
P: 0.386 0.413 0.656
P: 0.614 0.587 0.344
P: 0.614 0.913 0.844
P: 0.658 0.582 0.954
P: 0.658 0.918 0.454
P: 0.686 0.207 0.073
P: 0.686 0.293 0.573
P: 0.762 0.659 0.739
P: 0.762 0.841 0.239
P: 0.894 0.224 0.435
P: 0.894 0.276 0.935
P: 0.956 0.027 0.808
P: 0.956 0.473 0.308
H: 0.002 0.539 0.403
H: 0.002 0.961 0.903
H: 0.028 0.222 0.025
H: 0.028 0.278 0.525
H: 0.128 0.643 0.010
H: 0.128 0.857 0.510
H: 0.135 0.074 0.690
H: 0.135 0.426 0.190
H: 0.197 0.548 0.751
H: 0.197 0.952 0.251
H: 0.271 0.008 0.570
H: 0.271 0.492 0.070
H: 0.294 0.144 0.050
H: 0.294 0.356 0.550
H: 0.298 0.077 0.190
H: 0.298 0.423 0.690
H: 0.327 0.590 0.422
H: 0.327 0.910 0.922
H: 0.332 0.113 0.873
H: 0.332 0.387 0.373
H: 0.374 0.017 0.487
H: 0.374 0.483 0.987
H: 0.379 0.745 0.883
H: 0.379 0.755 0.383
H: 0.621 0.245 0.617
H: 0.621 0.255 0.117
H: 0.626 0.517 0.013
H: 0.626 0.983 0.513
H: 0.668 0.613 0.627
H: 0.668 0.887 0.127
H: 0.673 0.090 0.078
H: 0.673 0.410 0.578
H: 0.702 0.577 0.310
H: 0.702 0.923 0.810
H: 0.706 0.644 0.450
H: 0.706 0.856 0.950
H: 0.729 0.508 0.930
H: 0.729 0.992 0.430
H: 0.803 0.048 0.749
H: 0.803 0.452 0.249
H: 0.865 0.574 0.810
H: 0.865 0.926 0.310
H: 0.872 0.143 0.490
H: 0.872 0.357 0.990
H: 0.972 0.722 0.475
H: 0.972 0.778 0.975
H: 0.998 0.039 0.097
H: 0.998 0.461 0.597
O: 0.029 0.039 0.270
O: 0.029 0.461 0.770
O: 0.045 0.134 0.858
O: 0.045 0.366 0.358
O: 0.083 0.661 0.141
O: 0.083 0.839 0.641
O: 0.150 0.740 0.351
O: 0.150 0.760 0.851
O: 0.155 0.240 0.257
O: 0.155 0.260 0.757
O: 0.229 0.689 0.623
O: 0.229 0.811 0.123
O: 0.235 0.176 0.468
O: 0.235 0.324 0.968
O: 0.328 0.183 0.723
O: 0.328 0.317 0.223
O: 0.409 0.743 0.553
O: 0.409 0.757 0.053
O: 0.418 0.529 0.634
O: 0.418 0.971 0.134
O: 0.475 0.656 0.254
O: 0.475 0.844 0.754
O: 0.494 0.118 0.657
O: 0.494 0.382 0.157
O: 0.506 0.618 0.843
O: 0.506 0.882 0.343
O: 0.525 0.156 0.246
O: 0.525 0.344 0.746
O: 0.582 0.029 0.866
O: 0.582 0.471 0.366
O: 0.591 0.243 0.947
O: 0.591 0.257 0.447
O: 0.672 0.683 0.777
O: 0.672 0.817 0.277
O: 0.765 0.676 0.032
O: 0.765 0.824 0.532
O: 0.771 0.189 0.877
O: 0.771 0.311 0.377
O: 0.845 0.740 0.243
O: 0.845 0.760 0.743
O: 0.850 0.240 0.149
O: 0.850 0.260 0.649
O: 0.917 0.161 0.359
O: 0.917 0.339 0.859
O: 0.955 0.634 0.642
O: 0.955 0.866 0.142
O: 0.971 0.539 0.230
O: 0.971 0.961 0.730

=====

A geometry-optimized VPH4O6 structure. Source: Materials Project, functional PBE with a Hubbard U.

energy = -6.32 eV per atom

Unit cell a=5.340 b=9.981 c=10.195 alpha=90.00 beta=119.97 gamma=90.00
Atoms (fractional coordinates):
V: 0.105 0.177 0.197
V: 0.105 0.323 0.697
V: 0.895 0.677 0.303
V: 0.895 0.823 0.803
P: 0.271 0.644 0.680
P: 0.271 0.856 0.180
P: 0.729 0.144 0.820
P: 0.729 0.356 0.320
H: 0.117 0.039 0.776
H: 0.117 0.461 0.276
H: 0.290 0.158 0.501
H: 0.290 0.342 0.001
H: 0.403 0.557 0.331
H: 0.403 0.943 0.831
H: 0.440 0.665 0.024
H: 0.440 0.835 0.524
H: 0.560 0.165 0.476
H: 0.560 0.335 0.976
H: 0.597 0.057 0.169
H: 0.597 0.443 0.669
H: 0.710 0.658 0.999
H: 0.710 0.842 0.499
H: 0.883 0.539 0.724
H: 0.883 0.961 0.224
O: 0.086 0.666 0.758
O: 0.086 0.834 0.258
O: 0.139 0.719 0.527
O: 0.139 0.781 0.027
O: 0.197 0.554 0.307
O: 0.197 0.946 0.807
O: 0.285 0.010 0.158
O: 0.285 0.490 0.658
O: 0.355 0.138 0.427
O: 0.355 0.362 0.927
O: 0.420 0.197 0.713
O: 0.420 0.303 0.213
O: 0.580 0.697 0.787
O: 0.580 0.803 0.287
O: 0.645 0.638 0.073
O: 0.645 0.862 0.573
O: 0.715 0.510 0.342
O: 0.715 0.990 0.842
O: 0.803 0.054 0.193
O: 0.803 0.446 0.693
O: 0.861 0.219 0.973
O: 0.861 0.281 0.473
O: 0.914 0.166 0.742
O: 0.914 0.334 0.242

=====

Calculated formation energy, -1.026; -2.112; -1.060; -1.430; -1.995 eV per atom (same order as the records).